1.
This record from the Materials Project database describes a geometry-optimized Na3Zn4P3O19 structure. The functional is PBE.

E ... -164.43 eV per formula unit
Crystal system ... trigonal
Magnetization ... 12.01 μB/cell
Space group ... R3c (161)
Energy of formation ... -1.6631 eV/atom

a b c (Å): 10.472 10.472 10.472
angles (deg): 63.09 63.09 63.09
Sites, in units of the cell vectors:
Na1 0.988 0.101 0.449
Na2 0.949 0.601 0.488
Na3 0.101 0.449 0.988
Na4 0.601 0.488 0.949
Na5 0.449 0.988 0.101
Na6 0.488 0.949 0.601
Zn1 0.275 0.571 0.575
Zn2 0.075 0.071 0.775
Zn3 0.571 0.575 0.275
Zn4 0.071 0.775 0.075
Zn5 0.575 0.275 0.571
Zn6 0.775 0.075 0.071
Zn7 0.575 0.575 0.575
Zn8 0.075 0.075 0.075
P1 0.236 0.767 0.265
P2 0.765 0.267 0.736
P3 0.767 0.265 0.236
P4 0.267 0.736 0.765
P5 0.265 0.236 0.767
P6 0.736 0.765 0.267
O1 0.497 0.497 0.497
O2 0.997 0.997 0.997
O3 0.172 0.659 0.423
O4 0.923 0.159 0.672
O5 0.659 0.423 0.172
O6 0.159 0.672 0.923
O7 0.423 0.172 0.659
O8 0.672 0.923 0.159
O9 0.219 0.740 0.643
O10 0.143 0.240 0.719
O11 0.740 0.643 0.219
O12 0.240 0.719 0.143
O13 0.643 0.219 0.740
O14 0.719 0.143 0.240
O15 0.235 0.400 0.758
O16 0.258 0.900 0.735
O17 0.400 0.758 0.235
O18 0.900 0.735 0.258
O19 0.758 0.235 0.400
O20 0.735 0.258 0.900
O21 0.433 0.636 0.759
O22 0.259 0.136 0.933
O23 0.636 0.759 0.433
O24 0.136 0.933 0.259
O25 0.759 0.433 0.636
O26 0.933 0.259 0.136
O27 0.368 0.308 0.069
O28 0.569 0.808 0.868
O29 0.308 0.069 0.368
O30 0.808 0.868 0.569
O31 0.069 0.368 0.308
O32 0.868 0.569 0.808
O33 0.384 0.389 0.114
O34 0.614 0.889 0.884
O35 0.389 0.114 0.384
O36 0.889 0.884 0.614
O37 0.114 0.384 0.389
O38 0.884 0.614 0.889

***

2.
This record from the Materials Project database describes a geometry-optimized Mn2In2Se5 structure. The functional is PBE.

E ... -45.26 eV per formula unit
Crystal system ... trigonal
Magnetization ... 9.90 μB/cell
Space group ... R-3m (166)
Energy of formation ... -0.7019 eV/atom

a b c (Å): 16.559 16.559 16.559
angles (deg): 14.10 14.10 14.10
Sites, in units of the cell vectors:
Mn1 0.301 0.301 0.301
Mn2 0.699 0.699 0.699
In1 0.444 0.444 0.444
In2 0.556 0.556 0.556
Se1 0.864 0.864 0.864
Se2 0.136 0.136 0.136
Se3 0.608 0.608 0.608
Se4 0.392 0.392 0.392
Se5 0.000 0.000 0.000

***

3.
This record from the Materials Project database describes a geometry-optimized SrLaHg2 structure. The functional is PBE.

E ... -9.34 eV per formula unit
Crystal system ... cubic
Space group ... Fm-3m (225)
Energy of formation ... -0.5271 eV/atom

a b c (Å): 5.593 5.593 5.593
angles (deg): 60.00 60.00 60.00
Sites, in units of the cell vectors:
Sr1 0.000 0.000 0.000
La1 0.500 0.500 0.500
Hg1 0.250 0.250 0.250
Hg2 0.750 0.750 0.750

***

4.
This record from the Materials Project database describes a geometry-optimized MgAg14Pb6O18 structure. The functional is PBE.

E ... -172.28 eV per formula unit
Crystal system ... triclinic
Magnetization ... 0.00 μB/cell
Space group ... P1 (1)
Energy relative to the lowest polymorph listed for this composition ... 2.367 eV/f.u.
Energy of formation ... -0.8218 eV/atom

a b c (Å): 9.044 8.776 8.956
angles (deg): 73.77 105.93 106.13
Sites, in units of the cell vectors:
Mg1 0.854 0.999 0.880
Ag1 0.805 0.220 0.591
Ag2 0.172 0.333 0.835
Ag3 0.590 0.768 0.809
Ag4 0.496 0.004 0.494
Ag5 0.139 0.909 0.921
Ag6 0.235 0.730 0.731
Ag7 0.424 0.577 0.582
Ag8 0.590 0.430 0.420
Ag9 0.728 0.262 0.231
Ag10 0.946 0.073 0.172
Ag11 0.016 0.522 0.499
Ag12 0.836 0.663 0.172
Ag13 0.172 0.839 0.338
Ag14 0.495 0.466 0.023
Pb1 0.499 0.159 0.834
Pb2 0.837 0.494 0.843
Pb3 0.175 0.174 0.499
Pb4 0.833 0.843 0.508
Pb5 0.174 0.496 0.173
Pb6 0.500 0.837 0.166
O1 0.760 0.189 0.832
O2 0.549 0.425 0.821
O3 0.904 0.121 0.454
O4 0.225 0.147 0.767
O5 0.842 0.825 0.775
O6 0.451 0.883 0.892
O7 0.119 0.516 0.909
O8 0.441 0.191 0.563
O9 0.822 0.574 0.554
O10 0.525 0.106 0.097
O11 0.196 0.446 0.443
O12 0.913 0.479 0.126
O13 0.563 0.816 0.436
O14 0.166 0.232 0.236
O15 0.765 0.856 0.212
O16 0.440 0.559 0.194
O17 0.106 0.900 0.522
O18 0.234 0.769 0.158

***

5.
This record from the Materials Project database describes a geometry-optimized Dy2Si2O7 structure. The functional is PBE.

E ... -90.18 eV per formula unit
Crystal system ... triclinic
Magnetization ... 0.00 μB/cell
Space group ... P-1 (2)
Energy of formation ... -3.6622 eV/atom

a b c (Å): 6.661 6.694 12.154
angles (deg): 94.32 91.32 91.97
Sites, in units of the cell vectors:
Dy1 0.674 0.173 0.891
Dy2 0.326 0.827 0.109
Dy3 0.368 0.217 0.634
Dy4 0.632 0.783 0.366
Dy5 0.882 0.910 0.644
Dy6 0.118 0.090 0.356
Dy7 0.949 0.673 0.885
Dy8 0.051 0.327 0.115
Si1 0.145 0.626 0.379
Si2 0.855 0.374 0.621
Si3 0.377 0.725 0.594
Si4 0.623 0.275 0.406
Si5 0.487 0.666 0.825
Si6 0.513 0.334 0.175
Si7 0.155 0.148 0.885
Si8 0.845 0.852 0.115
O1 0.001 0.986 0.815
O2 0.999 0.014 0.185
O3 0.000 0.333 0.918
O4 0.000 0.667 0.082
O5 0.348 0.209 0.815
O6 0.652 0.791 0.185
O7 0.230 0.084 0.005
O8 0.770 0.916 0.995
O9 0.076 0.416 0.310
O10 0.924 0.584 0.690
O11 0.963 0.772 0.420
O12 0.037 0.228 0.580
O13 0.290 0.782 0.312
O14 0.710 0.218 0.688
O15 0.284 0.574 0.489
O16 0.716 0.426 0.511
O17 0.355 0.489 0.126
O18 0.645 0.511 0.874
O19 0.382 0.137 0.211
O20 0.618 0.863 0.789
O21 0.700 0.294 0.095
O22 0.300 0.706 0.905
O23 0.600 0.432 0.306
O24 0.400 0.568 0.694
O25 0.414 0.174 0.448
O26 0.586 0.826 0.552
O27 0.774 0.096 0.377
O28 0.226 0.904 0.623

***

6.
This record from the Materials Project database describes a geometry-optimized Li3SbO3 structure. The functional is PBE.

Largest piezoelectric modulus ... 0.24 C/m²
E ... -37.08 eV per formula unit
Crystal system ... cubic
Space group ... I-43m (217)
Energy relative to the lowest polymorph listed for this composition ... 0.000 eV/f.u.
Energy of formation ... -2.0634 eV/atom

a b c (Å): 7.546 7.546 7.546
angles (deg): 109.47 109.47 109.47
Sites, in units of the cell vectors:
Li1 0.534 0.289 0.000
Li2 0.534 0.000 0.289
Li3 0.755 0.466 0.466
Li4 0.289 0.000 0.534
Li5 0.289 0.534 0.000
Li6 0.711 0.245 0.711
Li7 0.711 0.711 0.245
Li8 0.466 0.755 0.466
Li9 0.466 0.466 0.755
Li10 0.000 0.534 0.289
Li11 0.000 0.289 0.534
Li12 0.245 0.711 0.711
Sb1 0.718 0.000 0.000
Sb2 0.282 0.282 0.282
Sb3 0.000 0.718 0.000
Sb4 0.000 0.000 0.718
O1 0.743 0.238 0.238
O2 0.762 0.505 0.000
O3 0.762 0.000 0.505
O4 0.495 0.495 0.257
O5 0.505 0.762 0.000
O6 0.495 0.257 0.495
O7 0.505 0.000 0.762
O8 0.257 0.495 0.495
O9 0.238 0.238 0.743
O10 0.238 0.743 0.238
O11 0.000 0.505 0.762
O12 0.000 0.762 0.505

***

7.
This record from the Materials Project database describes a geometry-optimized SbTeI3F6 structure. The functional is PBE.

E ... -40.23 eV per formula unit
Crystal system ... monoclinic
Magnetization ... 0.00 μB/cell
Space group ... P2_1/c (14)
Energy of formation ... -1.7885 eV/atom

a b c (Å): 10.910 8.707 13.423
angles (deg): 80.26 90.00 90.00
Sites, in units of the cell vectors:
Sb1 0.224 0.684 0.422
Sb2 0.776 0.316 0.578
Sb3 0.276 0.684 0.922
Sb4 0.724 0.316 0.078
Te1 0.324 0.318 0.196
Te2 0.824 0.682 0.304
Te3 0.176 0.318 0.696
Te4 0.676 0.682 0.804
I1 0.047 0.221 0.866
I2 0.336 0.065 0.103
I3 0.953 0.779 0.134
I4 0.164 0.065 0.603
I5 0.590 0.720 0.238
I6 0.453 0.221 0.366
I7 0.836 0.935 0.397
I8 0.547 0.779 0.634
I9 0.910 0.720 0.738
I10 0.664 0.935 0.897
I11 0.090 0.280 0.262
I12 0.410 0.280 0.762
F1 0.938 0.389 0.607
F2 0.239 0.480 0.997
F3 0.838 0.260 0.454
F4 0.215 0.619 0.801
F5 0.438 0.611 0.893
F6 0.384 0.757 0.451
F7 0.785 0.381 0.199
F8 0.683 0.114 0.150
F9 0.715 0.381 0.699
F10 0.761 0.520 0.003
F11 0.116 0.757 0.951
F12 0.317 0.886 0.850
F13 0.162 0.740 0.546
F14 0.062 0.611 0.393
F15 0.285 0.619 0.301
F16 0.338 0.740 0.046
F17 0.817 0.114 0.650
F18 0.562 0.389 0.107
F19 0.261 0.480 0.497
F20 0.183 0.886 0.350
F21 0.739 0.520 0.503
F22 0.662 0.260 0.954
F23 0.616 0.243 0.549
F24 0.884 0.243 0.049

***

8.
This record from the Materials Project database describes a geometry-optimized NdBi3Ru4O14 structure. The functional is PBE.

E ... -152.60 eV per formula unit
Crystal system ... trigonal
Magnetization ... 0.00 μB/cell
Space group ... R-3m (166)
Energy of formation ... -1.7915 eV/atom

a b c (Å): 7.382 7.382 7.382
angles (deg): 59.53 59.53 59.53
Sites, in units of the cell vectors:
Nd1 0.500 0.500 0.500
Bi1 0.500 0.000 0.500
Bi2 0.000 0.500 0.500
Bi3 0.500 0.500 0.000
Ru1 0.000 0.000 0.000
Ru2 0.000 0.500 0.000
Ru3 0.500 0.000 0.000
Ru4 0.000 0.000 0.500
O1 0.625 0.625 0.625
O2 0.375 0.375 0.375
O3 0.922 0.922 0.328
O4 0.328 0.922 0.922
O5 0.922 0.328 0.922
O6 0.328 0.328 0.924
O7 0.924 0.328 0.328
O8 0.328 0.924 0.328
O9 0.078 0.078 0.672
O10 0.672 0.078 0.078
O11 0.078 0.672 0.078
O12 0.672 0.672 0.076
O13 0.076 0.672 0.672
O14 0.672 0.076 0.672

***

9.
This record from the Materials Project database describes a geometry-optimized Nd2InHg structure. The functional is PBE.

E ... -14.45 eV per formula unit
Crystal system ... cubic
Space group ... Fm-3m (225)
Energy of formation ... -0.4636 eV/atom

a b c (Å): 5.478 5.478 5.478
angles (deg): 60.00 60.00 60.00
Sites, in units of the cell vectors:
Nd1 0.250 0.250 0.250
Nd2 0.750 0.750 0.750
In1 0.000 0.000 0.000
Hg1 0.500 0.500 0.500

***

10.
This record from the Materials Project database describes a geometry-optimized Gd2AlCo2 structure. The functional is PBE.

E ... -47.92 eV per formula unit
Crystal system ... orthorhombic
Space group ... Immm (71)
Energy of formation ... -0.3605 eV/atom

a b c (Å): 5.469 5.469 5.469
angles (deg): 137.26 119.21 77.14
Sites, in units of the cell vectors:
Gd1 0.701 0.201 0.500
Gd2 0.299 0.799 0.500
Al1 0.000 0.000 0.000
Co1 0.273 0.500 0.773
Co2 0.727 0.500 0.227

***

11.
This record from the Materials Project database describes a geometry-optimized Mg2Sn structure. The functional is PBE.

E ... -7.77 eV per formula unit
Crystal system ... cubic
Space group ... Fm-3m (225)
Energy of formation ... -0.1872 eV/atom

a b c (Å): 4.820 4.820 4.820
angles (deg): 60.00 60.00 60.00
Sites, in units of the cell vectors:
Mg1 0.750 0.750 0.750
Mg2 0.250 0.250 0.250
Sn1 0.000 0.000 0.000

***

12.
This record from the Materials Project database describes a geometry-optimized SO2 structure. The functional is PBE.

Largest piezoelectric modulus ... 0.15 C/m²
E ... -17.22 eV per formula unit
Crystal system ... orthorhombic
Space group ... Aea2 (41)
Energy of formation ... -1.5222 eV/atom

a b c (Å): 4.771 4.771 6.691
angles (deg): 90.00 90.00 94.15
Sites, in units of the cell vectors:
S1 0.360 0.640 0.500
S2 0.860 0.140 0.000
O1 0.606 0.672 0.374
O2 0.328 0.394 0.626
O3 0.106 0.172 0.126
O4 0.828 0.894 0.874